Entry 1:
{"formula": "Gd2Be2GeO7", "functional": "PBE", "state": "optimized geometry", "delta_e_f_ev_per_atom": -3.251, "dft_energy_ev_per_atom": -9.09, "lattice": [[-2.122, 1.880, 6.962], [6.902, -1.574, 2.529], [1.354, 4.602, -0.830]], "species": ["Gd", "Gd", "Gd", "Gd", "Be", "Be", "Be", "Be", "Ge", "Ge", "O", "O", "O", "O", "O", "O", "O", "O", "O", "O", "O", "O", "O", "O"], "fractional_positions": [[0.341, 0.159, 0.995], [0.659, 0.841, 0.995], [0.841, 0.341, 0.005], [0.159, 0.659, 0.005], [0.865, 0.635, 0.547], [0.365, 0.865, 0.453], [0.135, 0.365, 0.547], [0.635, 0.135, 0.453], [0.500, 0.500, 0.500], [0.000, 0.000, 0.500], [0.141, 0.359, 0.220], [0.172, 0.920, 0.288], [0.920, 0.828, 0.712], [0.359, 0.859, 0.780], [0.328, 0.420, 0.712], [0.828, 0.080, 0.288], [0.000, 0.500, 0.682], [0.859, 0.641, 0.220], [0.500, 0.000, 0.318], [0.641, 0.141, 0.780], [0.420, 0.672, 0.288], [0.672, 0.580, 0.712], [0.580, 0.328, 0.288], [0.080, 0.172, 0.712]]}

Entry 2:
{"formula": "SrGd2BeO5", "functional": "PBE", "state": "optimized geometry", "delta_e_f_ev_per_atom": -3.490, "dft_energy_ev_per_atom": -9.59, "lattice": [[-2.581, 6.009, -0.408], [-1.694, -1.196, -6.881], [-8.479, -3.460, 2.689]], "species": ["Sr", "Sr", "Sr", "Sr", "Gd", "Gd", "Gd", "Gd", "Gd", "Gd", "Gd", "Gd", "Be", "Be", "Be", "Be", "O", "O", "O", "O", "O", "O", "O", "O", "O", "O", "O", "O", "O", "O", "O", "O", "O", "O", "O", "O"], "fractional_positions": [[0.584, 0.982, 0.676], [0.416, 0.482, 0.324], [0.084, 0.482, 0.824], [0.916, 0.982, 0.176], [0.094, 0.747, 0.521], [0.406, 0.747, 0.021], [0.906, 0.247, 0.479], [0.594, 0.247, 0.979], [0.929, 0.526, 0.175], [0.071, 0.026, 0.825], [0.429, 0.026, 0.325], [0.571, 0.526, 0.675], [0.693, 0.749, 0.399], [0.807, 0.749, 0.899], [0.307, 0.249, 0.601], [0.193, 0.249, 0.101], [0.019, 0.748, 0.992], [0.481, 0.748, 0.492], [0.981, 0.248, 0.008], [0.519, 0.248, 0.508], [0.633, 0.751, 0.225], [0.867, 0.751, 0.725], [0.367, 0.251, 0.775], [0.133, 0.251, 0.275], [0.319, 0.056, 0.072], [0.195, 0.444, 0.566], [0.681, 0.556, 0.928], [0.805, 0.944, 0.434], [0.695, 0.944, 0.934], [0.819, 0.556, 0.428], [0.305, 0.444, 0.066], [0.181, 0.056, 0.572], [0.162, 0.748, 0.281], [0.338, 0.748, 0.781], [0.838, 0.248, 0.719], [0.662, 0.248, 0.219]]}

Entry 3:
{"formula": "BeGe3", "functional": "PBE", "state": "optimized geometry", "e_above_lowest_polymorph_ev_per_atom": 0.0147, "delta_e_f_ev_per_atom": 0.533, "dft_energy_ev_per_atom": -3.87, "lattice": [[-1.837, -3.635, 0.290], [2.816, -1.620, -2.474], [2.318, -0.913, 3.236]], "species": ["Be", "Ge", "Ge", "Ge"], "fractional_positions": [[0.000, 0.000, 0.000], [0.000, 0.500, 0.500], [0.500, 0.000, 0.500], [0.500, 0.500, 0.000]]}

Entry 4:
{"formula": "BeGe3", "functional": "PBE", "state": "optimized geometry", "e_above_lowest_polymorph_ev_per_atom": 0.0000, "delta_e_f_ev_per_atom": 0.518, "dft_energy_ev_per_atom": -3.88, "lattice": [[4.032, -0.935, 3.148], [4.154, 3.035, -0.751], [-5.101, 0.783, 0.637]], "species": ["Be", "Ge", "Ge", "Ge"], "fractional_positions": [[0.000, 0.000, 0.000], [0.750, 0.250, 0.500], [0.250, 0.750, 0.500], [0.500, 0.500, 0.000]]}

Entry 5:
{"formula": "Be3Ge", "functional": "PBE", "state": "optimized geometry", "delta_e_f_ev_per_atom": 0.376, "dft_energy_ev_per_atom": -3.58, "lattice": [[1.395, -0.264, 4.055], [-3.186, 0.953, 2.721], [0.245, -2.718, -3.319]], "species": ["Be", "Be", "Be", "Ge"], "fractional_positions": [[0.750, 0.250, 0.500], [0.250, 0.750, 0.500], [0.500, 0.500, 0.000], [0.000, 0.000, 0.000]]}

Entry 6:
{"formula": "Ho2Be2GeO7", "functional": "PBE", "state": "optimized geometry", "delta_e_f_ev_per_atom": -3.290, "dft_energy_ev_per_atom": -7.55, "lattice": [[-6.554, 2.773, -2.134], [-2.518, -0.590, 6.966], [1.572, 4.442, 0.944]], "species": ["Ho", "Ho", "Ho", "Ho", "Be", "Be", "Be", "Be", "Ge", "Ge", "O", "O", "O", "O", "O", "O", "O", "O", "O", "O", "O", "O", "O", "O"], "fractional_positions": [[0.158, 0.342, 0.507], [0.842, 0.658, 0.507], [0.658, 0.158, 0.493], [0.342, 0.842, 0.493], [0.635, 0.865, 0.951], [0.365, 0.135, 0.951], [0.135, 0.635, 0.049], [0.865, 0.365, 0.049], [0.000, 0.000, 0.000], [0.500, 0.500, 0.000], [0.000, 0.500, 0.188], [0.500, 0.000, 0.812], [0.642, 0.858, 0.282], [0.358, 0.142, 0.282], [0.142, 0.642, 0.718], [0.858, 0.358, 0.718], [0.082, 0.829, 0.219], [0.918, 0.171, 0.219], [0.171, 0.082, 0.781], [0.418, 0.329, 0.781], [0.829, 0.918, 0.781], [0.582, 0.671, 0.781], [0.329, 0.582, 0.219], [0.671, 0.418, 0.219]]}